A relaxed structure of LiMnF4, computed with GGA+U.

Values from the calculation:
crystal system: tetragonal
DFT formation energy: -2.862 eV per atom
space-group type: I4_1/amd
total energy after the MP2020 corrections: -35.90 eV per formula unit

Unit cell a=5.707 b=5.707 c=5.707 alpha=112.39 beta=112.39 gamma=103.77
Fractional positions:
F (0.512, 0.304, 0.209)
Li (0.250, 0.750, 0.500)
F (0.054, 0.762, 0.709)
F (0.238, 0.946, 0.291)
F (0.696, 0.905, 0.209)
Mn (0.750, 0.250, 0.500)
Li (0.500, 0.500, 0.000)
F (0.054, 0.345, 0.291)
Mn (0.000, 0.000, 0.000)
F (0.696, 0.488, 0.791)
F (0.655, 0.946, 0.709)
F (0.095, 0.304, 0.791)

***

A relaxed structure of SrLaMnFeO6, computed with GGA+U.

Values from the calculation:
crystal system: monoclinic
DFT formation energy: -2.691 eV per atom
space-group type: Pc
relative energy among the computed polymorphs: 0.0 kJ/mol of atoms
total energy after the MP2020 corrections: -80.86 eV per formula unit

Unit cell a=5.534 b=5.550 c=7.793 alpha=89.95 beta=90.00 gamma=90.00
Fractional positions:
O (0.717, 0.727, 0.468)
O (0.505, 0.065, 0.256)
Fe (0.503, 0.000, 0.000)
O (0.227, 0.764, 0.027)
O (0.012, 0.450, 0.244)
Mn (0.501, 0.000, 0.500)
Sr (0.516, 0.498, 0.750)
O (0.235, 0.773, 0.472)
O (0.726, 0.716, 0.032)
O (0.774, 0.216, 0.532)
La (0.024, 0.005, 0.750)
O (0.488, 0.950, 0.744)
Sr (0.984, 0.998, 0.250)
O (0.995, 0.565, 0.756)
Fe (0.997, 0.500, 0.500)
Mn (0.999, 0.500, 0.000)
O (0.273, 0.264, 0.528)
La (0.476, 0.505, 0.250)
O (0.783, 0.227, 0.968)
O (0.265, 0.273, 0.972)